# 1
# MgTi2Zn4O8

Crystalline MgTi2Zn4O8 at its relaxed geometry (PBE, Materials Project).

Cell: 7.675 5.985 7.675 Å, 67.05 46.44 67.05°
Fractional coordinates of all 15 atoms:
Mg  0.368  0.382  0.368
Ti  0.547  0.957  0.547
Ti  0.547  0.449  0.547
Zn  0.252  0.998  0.252
Zn  0.424  0.567  0.941
Zn  0.941  0.567  0.424
Zn  0.890  0.860  0.890
O  0.247  0.301  0.247
O  0.247  0.704  0.247
O  0.299  0.254  0.693
O  0.693  0.254  0.299
O  0.312  0.727  0.733
O  0.733  0.727  0.312
O  0.686  0.325  0.686
O  0.686  0.803  0.686

Calculated values
Excess energy over the best structure of this formula in the dataset ... 207.6 meV per atom



# 2
# Be4CuSi

Crystalline Be4CuSi at its relaxed geometry (PBE, Materials Project).

Cell: 4.326 4.326 4.326 Å, 60.00 60.00 60.00°
Fractional coordinates of all 6 atoms:
Be  0.625  0.625  0.125
Be  0.625  0.125  0.625
Be  0.125  0.625  0.625
Be  0.625  0.625  0.625
Cu  0.250  0.250  0.250
Si  0.000  0.000  0.000

Calculated values
Electronic total energy ... -3.96 eV/atom



# 3
# TbMnFe

Crystalline TbMnFe at its relaxed geometry (PBE, Materials Project).

Cell: 5.144 5.144 5.144 Å, 120.72 119.14 90.13°
Fractional coordinates of all 6 atoms:
Tb  0.127  0.877  0.250
Tb  0.873  0.123  0.750
Mn  0.500  0.500  0.000
Mn  0.000  0.500  0.500
Fe  0.500  0.500  0.500
Fe  0.500  0.000  0.000

Calculated values
Electronic total energy ... -7.37 eV/atom



no.,mass density (Mg/m³)
1,3.66
2,3.70
3,9.30